w | ## Nb4Cr7Si8 (GGA-PBE)

Data for a relaxed Nb4Cr7Si8 crystal.

Summary:
Space group: Pnma (62)
Spin magnetization in μB/f.u.: 3.1

a b c (Å): 13.231 4.860 15.917
angles (deg): 90.00 90.00 90.00
Fractional positions:
Nb (0.042, 0.250, 0.092)
Nb (0.068, 0.750, 0.198)
Nb (0.133, 0.250, 0.542)
Nb (0.249, 0.250, 0.973)
Nb (0.251, 0.750, 0.473)
Nb (0.367, 0.750, 0.042)
Nb (0.432, 0.250, 0.698)
Nb (0.458, 0.750, 0.592)
Nb (0.542, 0.250, 0.408)
Nb (0.568, 0.750, 0.302)
Nb (0.633, 0.250, 0.958)
Nb (0.749, 0.250, 0.527)
Nb (0.751, 0.750, 0.027)
Nb (0.867, 0.750, 0.458)
Nb (0.932, 0.250, 0.802)
Nb (0.958, 0.750, 0.908)
Cr (0.061, 0.508, 0.379)
Cr (0.061, 0.992, 0.379)
Cr (0.127, 0.750, 0.996)
Cr (0.136, 0.750, 0.655)
Cr (0.137, 0.509, 0.824)
Cr (0.137, 0.991, 0.824)
Cr (0.189, 0.250, 0.249)
Cr (0.311, 0.750, 0.749)
Cr (0.363, 0.009, 0.324)
Cr (0.363, 0.491, 0.324)
Cr (0.364, 0.250, 0.155)
Cr (0.373, 0.250, 0.496)
Cr (0.439, 0.008, 0.879)
Cr (0.439, 0.492, 0.879)
Cr (0.561, 0.508, 0.121)
Cr (0.561, 0.992, 0.121)
Cr (0.627, 0.750, 0.504)
Cr (0.636, 0.750, 0.845)
Cr (0.637, 0.509, 0.676)
Cr (0.637, 0.991, 0.676)
Cr (0.689, 0.250, 0.251)
Cr (0.811, 0.750, 0.751)
Cr (0.863, 0.009, 0.176)
Cr (0.863, 0.491, 0.176)
Cr (0.864, 0.250, 0.345)
Cr (0.873, 0.250, 0.004)
Cr (0.939, 0.008, 0.621)
Cr (0.939, 0.492, 0.621)
Si (0.003, 0.250, 0.252)
Si (0.050, 0.750, 0.518)
Si (0.051, 0.250, 0.933)
Si (0.087, 0.250, 0.698)
Si (0.209, 0.750, 0.307)
Si (0.216, 0.502, 0.119)
Si (0.216, 0.998, 0.119)
Si (0.226, 0.250, 0.397)
Si (0.274, 0.750, 0.897)
Si (0.284, 0.002, 0.619)
Si (0.284, 0.498, 0.619)
Si (0.291, 0.250, 0.807)
Si (0.413, 0.750, 0.198)
Si (0.449, 0.750, 0.433)
Si (0.450, 0.250, 0.018)
Si (0.497, 0.750, 0.752)
Si (0.503, 0.250, 0.248)
Si (0.550, 0.750, 0.982)
Si (0.551, 0.250, 0.567)
Si (0.587, 0.250, 0.802)
Si (0.709, 0.750, 0.193)
Si (0.716, 0.502, 0.381)
Si (0.716, 0.998, 0.381)
Si (0.726, 0.250, 0.103)
Si (0.774, 0.750, 0.603)
Si (0.784, 0.002, 0.881)
Si (0.784, 0.498, 0.881)
Si (0.791, 0.250, 0.693)
Si (0.913, 0.750, 0.302)
Si (0.949, 0.750, 0.067)
Si (0.950, 0.250, 0.482)
Si (0.997, 0.750, 0.748)

=====

x | ## Nb4Cr7Si8 (GGA-PBE)

Data for a relaxed Nb4Cr7Si8 crystal.

Summary:
Space group: Pnma (62)
Spin magnetization in μB/f.u.: 1.0

a b c (Å): 13.231 4.855 15.810
angles (deg): 90.00 90.00 90.00
Fractional positions:
Nb (0.065, 0.250, 0.195)
Nb (0.121, 0.250, 0.995)
Nb (0.134, 0.750, 0.542)
Nb (0.247, 0.250, 0.473)
Nb (0.253, 0.750, 0.973)
Nb (0.366, 0.250, 0.042)
Nb (0.379, 0.750, 0.495)
Nb (0.435, 0.750, 0.695)
Nb (0.565, 0.250, 0.305)
Nb (0.621, 0.250, 0.505)
Nb (0.634, 0.750, 0.958)
Nb (0.747, 0.250, 0.027)
Nb (0.753, 0.750, 0.527)
Nb (0.866, 0.250, 0.458)
Nb (0.879, 0.750, 0.005)
Nb (0.935, 0.750, 0.805)
Cr (0.048, 0.750, 0.095)
Cr (0.059, 0.011, 0.377)
Cr (0.059, 0.489, 0.377)
Cr (0.135, 0.250, 0.655)
Cr (0.136, 0.010, 0.824)
Cr (0.136, 0.490, 0.824)
Cr (0.188, 0.750, 0.250)
Cr (0.312, 0.250, 0.750)
Cr (0.364, 0.510, 0.324)
Cr (0.364, 0.990, 0.324)
Cr (0.365, 0.750, 0.155)
Cr (0.441, 0.511, 0.877)
Cr (0.441, 0.989, 0.877)
Cr (0.452, 0.250, 0.595)
Cr (0.548, 0.750, 0.405)
Cr (0.559, 0.011, 0.123)
Cr (0.559, 0.489, 0.123)
Cr (0.635, 0.250, 0.845)
Cr (0.636, 0.010, 0.676)
Cr (0.636, 0.490, 0.676)
Cr (0.688, 0.750, 0.250)
Cr (0.812, 0.250, 0.750)
Cr (0.864, 0.510, 0.176)
Cr (0.864, 0.990, 0.176)
Cr (0.865, 0.750, 0.345)
Cr (0.941, 0.511, 0.623)
Cr (0.941, 0.989, 0.623)
Cr (0.952, 0.250, 0.905)
Si (0.004, 0.750, 0.248)
Si (0.049, 0.250, 0.518)
Si (0.055, 0.750, 0.938)
Si (0.090, 0.750, 0.698)
Si (0.209, 0.250, 0.305)
Si (0.215, 0.503, 0.122)
Si (0.215, 0.997, 0.122)
Si (0.221, 0.750, 0.395)
Si (0.279, 0.250, 0.895)
Si (0.285, 0.003, 0.622)
Si (0.285, 0.497, 0.622)
Si (0.291, 0.750, 0.805)
Si (0.410, 0.250, 0.198)
Si (0.445, 0.250, 0.438)
Si (0.451, 0.750, 0.018)
Si (0.496, 0.250, 0.748)
Si (0.504, 0.750, 0.252)
Si (0.549, 0.250, 0.982)
Si (0.555, 0.750, 0.562)
Si (0.590, 0.750, 0.802)
Si (0.709, 0.250, 0.195)
Si (0.715, 0.503, 0.378)
Si (0.715, 0.997, 0.378)
Si (0.721, 0.750, 0.105)
Si (0.779, 0.250, 0.605)
Si (0.785, 0.003, 0.878)
Si (0.785, 0.497, 0.878)
Si (0.791, 0.750, 0.695)
Si (0.910, 0.250, 0.302)
Si (0.945, 0.250, 0.062)
Si (0.951, 0.750, 0.482)
Si (0.996, 0.250, 0.752)

=====

Energies relative to the most stable structure, in kJ/mol of atoms: w 1.4; x 0.0.